No. 1
Compound: LiMnF6
Source: the Materials Project
Functional: PBE with a Hubbard U
Structure: relaxed

**DFT total energy**: -37.0 eV for the cell shown
**DFT formation energy**: -18.9 eV/f.u.

Cell lengths 5.389, 5.389, 5.389 Å; angles 55.97, 55.97, 55.97 degrees
Atoms (fractional coordinates):
Mn 0.000 0.000 0.000
F 0.110 0.768 0.355
F 0.890 0.232 0.645
F 0.355 0.110 0.768
F 0.768 0.355 0.110
F 0.232 0.645 0.890
F 0.645 0.890 0.232
Li 0.500 0.500 0.500

***

No. 2
Compound: LiMnF3
Source: the Materials Project
Functional: PBE with a Hubbard U
Structure: relaxed

**DFT total energy**: -458.8 eV for the cell shown
**Energy relative to the lowest polymorph listed for this composition**: 0.041 eV per atom
**DFT formation energy**: -14.9 eV/f.u.
**Size of the total moment**: 5.00 μB/f.u.

Cell lengths 10.667, 10.667, 10.667 Å; angles 109.72, 109.72, 108.97 degrees
Atoms (fractional coordinates):
Mn 0.117 0.728 0.134
Mn 0.633 0.522 0.366
Mn 0.478 0.844 0.112
Mn 0.255 0.255 0.000
Mn 0.733 0.367 0.888
Mn 0.005 0.505 0.500
Mn 0.156 0.267 0.634
Mn 0.875 0.125 0.750
Mn 0.745 0.745 0.000
Mn 0.017 0.883 0.612
Mn 0.495 0.995 0.500
Mn 0.875 0.625 0.750
Mn 0.272 0.406 0.388
Mn 0.875 0.125 0.250
Mn 0.375 0.125 0.250
Mn 0.594 0.983 0.866
Li 0.000 0.000 0.000
Li 0.622 0.751 0.623
Li 0.128 0.499 0.877
Li 0.500 0.500 0.000
Li 0.250 0.750 0.500
Li 0.750 0.250 0.500
Li 0.623 0.251 0.123
Li 0.375 0.125 0.750
Li 0.249 0.873 0.871
Li 0.375 0.625 0.750
Li 0.001 0.378 0.129
Li 0.501 0.377 0.629
Li 0.127 0.999 0.377
Li 0.749 0.872 0.371
Li 0.375 0.625 0.250
Li 0.875 0.625 0.250
F 0.833 0.987 0.026
F 0.585 0.200 0.927
F 0.291 0.757 0.345
F 0.737 0.211 0.654
F 0.950 0.523 0.115
F 0.653 0.086 0.118
F 0.412 0.946 0.655
F 0.967 0.535 0.882
F 0.961 0.807 0.974
F 0.273 0.658 0.073
F 0.768 0.450 0.279
F 0.243 0.588 0.533
F 0.651 0.941 0.648
F 0.997 0.349 0.290
F 0.800 0.727 0.385
F 0.511 0.232 0.681
F 0.753 0.901 0.210
F 0.097 0.164 0.382
F 0.580 0.761 0.779
F 0.054 0.709 0.467
F 0.836 0.217 0.933
F 0.507 0.662 0.967
F 0.285 0.903 0.067
F 0.294 0.003 0.352
F 0.982 0.800 0.221
F 0.200 0.420 0.181
F 0.789 0.443 0.526
F 0.557 0.083 0.346
F 0.550 0.830 0.319
F 0.013 0.039 0.846
F 0.099 0.309 0.852
F 0.459 0.493 0.155
F 0.465 0.347 0.433
F 0.342 0.415 0.615
F 0.170 0.489 0.721
F 0.239 0.018 0.819
F 0.914 0.033 0.567
F 0.059 0.706 0.710
F 0.696 0.541 0.033
F 0.165 0.050 0.573
F 0.456 0.247 0.148
F 0.338 0.304 0.845
F 0.193 0.167 0.154
F 0.783 0.715 0.618
F 0.691 0.544 0.790
F 0.917 0.263 0.474
F 0.408 0.835 0.885
F 0.477 0.592 0.427